(1)
This record from the Materials Project describes an optimized crystal structure of NbV3O8. The functional is PBE with a Hubbard U.

Lattice parameters (Å, degrees): 6.017 5.987 9.385 88.16 90.92 119.83
Element x y z (fractional)
Nb (0.345, 0.679, 0.500)
Nb (0.655, 0.333, 0.000)
V (0.158, 0.817, 0.219)
V (0.167, 0.340, 0.205)
V (0.657, 0.821, 0.218)
V (0.343, 0.164, 0.718)
V (0.842, 0.659, 0.719)
V (0.833, 0.172, 0.705)
O (0.176, 0.829, 0.603)
O (0.047, 0.532, 0.337)
O (0.337, 0.682, 0.107)
O (0.998, 0.996, 0.302)
O (0.002, 0.997, 0.802)
O (0.183, 0.342, 0.597)
O (0.478, 0.955, 0.336)
O (0.488, 0.534, 0.335)
O (0.336, 0.160, 0.100)
O (0.664, 0.824, 0.600)
O (0.522, 0.477, 0.836)
O (0.512, 0.046, 0.835)
O (0.663, 0.345, 0.607)
O (0.824, 0.653, 0.103)
O (0.953, 0.485, 0.837)
O (0.817, 0.159, 0.097)

Results
Spin magnetization = 4.000 μB per formula unit
Calculated volume = 12.21 A^3/atom
Crystal system = monoclinic
Energy above the most stable polymorph in this dataset = 67 meV per atom
Energy of formation from the pure elements = -2.57 eV per atom
SG = Cc, No. 9
MP2020-corrected energy = -8.981 eV/atom

=====

(2)
This record from the Materials Project describes an optimized crystal structure of KCrP2O7. The functional is PBE with a Hubbard U.

Lattice parameters (Å, degrees): 10.088 7.475 8.317 73.01 90.00 90.00
Element x y z (fractional)
K (0.678, 0.323, 0.557)
K (0.178, 0.677, 0.943)
K (0.322, 0.677, 0.443)
K (0.822, 0.323, 0.057)
Cr (0.899, 0.737, 0.239)
Cr (0.399, 0.263, 0.261)
Cr (0.101, 0.263, 0.761)
Cr (0.601, 0.737, 0.739)
P (0.635, 0.939, 0.308)
P (0.135, 0.061, 0.192)
P (0.365, 0.061, 0.692)
P (0.865, 0.939, 0.808)
P (0.598, 0.630, 0.170)
P (0.098, 0.370, 0.330)
P (0.402, 0.370, 0.830)
P (0.902, 0.630, 0.670)
O (0.593, 0.641, 0.986)
O (0.093, 0.359, 0.514)
O (0.407, 0.359, 0.014)
O (0.907, 0.641, 0.486)
O (0.764, 0.580, 0.749)
O (0.264, 0.420, 0.751)
O (0.236, 0.420, 0.251)
O (0.736, 0.580, 0.249)
O (0.503, 0.506, 0.721)
O (0.003, 0.494, 0.779)
O (0.497, 0.494, 0.279)
O (0.997, 0.506, 0.221)
O (0.558, 0.835, 0.187)
O (0.058, 0.165, 0.313)
O (0.442, 0.165, 0.813)
O (0.942, 0.835, 0.687)
O (0.718, 0.952, 0.755)
O (0.218, 0.048, 0.745)
O (0.282, 0.048, 0.245)
O (0.782, 0.952, 0.255)
O (0.922, 0.136, 0.763)
O (0.422, 0.864, 0.737)
O (0.078, 0.864, 0.237)
O (0.578, 0.136, 0.263)
O (0.895, 0.819, 0.986)
O (0.395, 0.181, 0.514)
O (0.105, 0.181, 0.014)
O (0.605, 0.819, 0.486)

Results
Spin magnetization = 3.001 μB per formula unit
Calculated volume = 13.63 A^3/atom
Crystal system = monoclinic
Energy of formation from the pure elements = -2.69 eV per atom
SG = P2_1/c, No. 14
MP2020-corrected energy = -7.798 eV/atom